1.
{
  "formula": "GdSi2",
  "functional": "r2SCAN",
  "state": "relaxed",
  "final_energy_ev_per_fu": -62.6,
  "cell": [[2.860, -2.865, 0.000], [2.860, 2.865, 0.000], [-2.816, 0.000, 7.114]],
  "species": ["Gd", "Gd", "Si", "Si", "Si", "Si"],
  "fractional_positions": [[0.125, 0.875, 0.750], [0.875, 0.125, 0.250], [0.291, 0.542, 0.084], [0.458, 0.709, 0.416], [0.542, 0.291, 0.584], [0.709, 0.458, 0.916]]
}



2.
{
  "formula": "GdZnSi",
  "functional": "r2SCAN",
  "state": "relaxed",
  "final_energy_ev_per_fu": -63.1,
  "cell": [[4.109, 0.000, 0.000], [-2.054, 3.558, 0.000], [0.000, 0.000, 4.113]],
  "species": ["Gd", "Zn", "Si"],
  "fractional_positions": [[0.000, 0.000, 0.000], [0.667, 0.333, 0.500], [0.333, 0.667, 0.500]]
}



3.
{
  "formula": "Sm3Gd",
  "functional": "r2SCAN",
  "state": "relaxed",
  "final_energy_ev_per_fu": -130.1,
  "cell": [[5.878, 0.000, 0.000], [0.000, 3.676, 6.360], [0.000, -3.676, 6.360]],
  "species": ["Sm", "Sm", "Sm", "Sm", "Sm", "Sm", "Gd", "Gd"],
  "fractional_positions": [[0.000, 0.000, 0.000], [0.000, 0.000, 0.495], [0.000, 0.495, 0.000], [0.500, 0.165, 0.665], [0.500, 0.665, 0.165], [0.500, 0.665, 0.665], [0.000, 0.498, 0.498], [0.500, 0.165, 0.165]]
}



4.
{
  "formula": "SmGd3",
  "functional": "r2SCAN",
  "state": "relaxed",
  "relative_energy_mev_per_atom": 98,
  "cell": [[-2.549, 2.549, 5.118], [2.549, -2.549, 5.118], [2.549, 2.549, -5.118]],
  "species": ["Sm", "Gd", "Gd", "Gd"],
  "fractional_positions": [[0.000, 0.000, 0.000], [0.250, 0.750, 0.500], [0.500, 0.500, 0.000], [0.750, 0.250, 0.500]]
}



5.
{
  "formula": "SmGd3",
  "functional": "r2SCAN",
  "state": "relaxed",
  "relative_energy_mev_per_atom": 0,
  "cell": [[7.324, 0.000, 0.000], [-3.662, 6.342, 0.000], [0.000, 0.000, 5.912]],
  "species": ["Sm", "Sm", "Gd", "Gd", "Gd", "Gd", "Gd", "Gd"],
  "fractional_positions": [[0.333, 0.667, 0.250], [0.667, 0.333, 0.750], [0.166, 0.331, 0.750], [0.166, 0.834, 0.750], [0.331, 0.166, 0.250], [0.669, 0.834, 0.750], [0.834, 0.166, 0.250], [0.834, 0.669, 0.250]]
}



6.
{
  "formula": "SmGdZn2",
  "functional": "r2SCAN",
  "state": "relaxed",
  "final_energy_ev_per_fu": -92.3,
  "cell": [[0.000, 3.604, 3.604], [3.604, 0.000, 3.604], [3.604, 3.604, 0.000]],
  "species": ["Sm", "Gd", "Zn", "Zn"],
  "fractional_positions": [[0.000, 0.000, 0.000], [0.500, 0.500, 0.500], [0.250, 0.250, 0.250], [0.750, 0.750, 0.750]]
}



7.
{
  "formula": "GdSn2",
  "functional": "r2SCAN",
  "state": "relaxed",
  "final_energy_ev_per_fu": -94.7,
  "cell": [[4.450, 0.000, 0.000], [0.000, 4.337, 0.000], [-2.214, 0.000, 8.341]],
  "species": ["Gd", "Gd", "Sn", "Sn", "Sn", "Sn"],
  "fractional_positions": [[0.100, 0.250, 0.201], [0.900, 0.750, 0.799], [0.253, 0.750, 0.506], [0.439, 0.250, 0.879], [0.561, 0.750, 0.121], [0.747, 0.250, 0.494]]
}



8.
{
  "formula": "GdTe2",
  "functional": "r2SCAN",
  "state": "relaxed",
  "final_energy_ev_per_fu": -98.3,
  "cell": [[4.461, 0.000, 0.000], [0.000, 4.461, 0.000], [0.000, 0.000, 8.974]],
  "species": ["Gd", "Gd", "Te", "Te", "Te", "Te"],
  "fractional_positions": [[0.250, 0.250, 0.228], [0.750, 0.750, 0.772], [0.250, 0.250, 0.871], [0.250, 0.750, 0.500], [0.750, 0.250, 0.500], [0.750, 0.750, 0.129]]
}



9.
{
  "formula": "GdTl",
  "functional": "r2SCAN",
  "state": "relaxed",
  "final_energy_ev_per_fu": -97.5,
  "cell": [[3.814, 0.000, 0.000], [0.000, 3.814, 0.000], [0.000, 0.000, 3.814]],
  "species": ["Gd", "Tl"],
  "fractional_positions": [[0.000, 0.000, 0.000], [0.500, 0.500, 0.500]]
}



10.
{
  "formula": "GdTlZn",
  "functional": "r2SCAN",
  "state": "relaxed",
  "final_energy_ev_per_fu": -106.6,
  "cell": [[4.714, 0.000, 0.000], [-2.357, 4.082, 0.000], [0.000, 0.000, 7.247]],
  "species": ["Gd", "Gd", "Tl", "Tl", "Zn", "Zn"],
  "fractional_positions": [[0.000, 0.000, 0.000], [0.000, 0.000, 0.500], [0.333, 0.667, 0.252], [0.667, 0.333, 0.748], [0.333, 0.667, 0.749], [0.667, 0.333, 0.251]]
}



11.
{
  "formula": "GdY3",
  "functional": "r2SCAN",
  "state": "relaxed",
  "relative_energy_mev_per_atom": 15,
  "cell": [[5.101, 0.000, 0.000], [0.000, 5.101, 0.000], [0.000, 0.000, 5.101]],
  "species": ["Gd", "Y", "Y", "Y"],
  "fractional_positions": [[0.000, 0.000, 0.000], [0.000, 0.500, 0.500], [0.500, 0.000, 0.500], [0.500, 0.500, 0.000]]
}



12.
{
  "formula": "GdY3",
  "functional": "r2SCAN",
  "state": "relaxed",
  "relative_energy_mev_per_atom": 0,
  "cell": [[-2.515, 2.515, 5.345], [2.515, -2.515, 5.345], [2.515, 2.515, -5.345]],
  "species": ["Gd", "Y", "Y", "Y"],
  "fractional_positions": [[0.000, 0.000, 0.000], [0.250, 0.750, 0.500], [0.500, 0.500, 0.000], [0.750, 0.250, 0.500]]
}



13.
{
  "formula": "YbGd3",
  "functional": "r2SCAN",
  "state": "relaxed",
  "final_energy_ev_per_fu": -166.8,
  "cell": [[7.217, 0.000, 0.000], [-3.608, 6.250, 0.000], [0.000, 0.000, 5.836]],
  "species": ["Yb", "Yb", "Gd", "Gd", "Gd", "Gd", "Gd", "Gd"],
  "fractional_positions": [[0.333, 0.667, 0.250], [0.667, 0.333, 0.750], [0.168, 0.336, 0.750], [0.168, 0.832, 0.750], [0.336, 0.168, 0.250], [0.664, 0.832, 0.750], [0.832, 0.168, 0.250], [0.832, 0.664, 0.250]]
}



14.
{
  "formula": "YbGdZn2",
  "functional": "r2SCAN",
  "state": "relaxed",
  "final_energy_ev_per_fu": -99.2,
  "cell": [[-2.496, 2.496, 3.535], [2.496, -2.496, 3.535], [2.496, 2.496, -3.535]],
  "species": ["Yb", "Gd", "Zn", "Zn"],
  "fractional_positions": [[0.000, 0.000, 0.000], [0.500, 0.500, 0.000], [0.250, 0.750, 0.500], [0.750, 0.250, 0.500]]
}



15.
{
  "formula": "GdZn2",
  "functional": "r2SCAN",
  "state": "relaxed",
  "final_energy_ev_per_fu": -62.4,
  "cell": [[-2.233, 3.565, 3.796], [2.233, -3.565, 3.796], [2.233, 3.565, -3.796]],
  "species": ["Gd", "Gd", "Zn", "Zn", "Zn", "Zn"],
  "fractional_positions": [[0.282, 0.032, 0.250], [0.718, 0.968, 0.750], [0.120, 0.665, 0.454], [0.289, 0.335, 0.954], [0.711, 0.665, 0.046], [0.880, 0.335, 0.546]]
}



16.
{
  "formula": "Gd2Zn17",
  "functional": "r2SCAN",
  "state": "relaxed",
  "final_energy_ev_per_fu": -243.4,
  "cell": [[4.447, 2.567, 4.329], [-4.447, 2.567, 4.329], [0.000, -5.135, 4.329]],
  "species": ["Gd", "Gd", "Zn", "Zn", "Zn", "Zn", "Zn", "Zn", "Zn", "Zn", "Zn", "Zn", "Zn", "Zn", "Zn", "Zn", "Zn", "Zn", "Zn"],
  "fractional_positions": [[0.164, 0.164, 0.164], [0.836, 0.836, 0.836], [0.000, 0.500, 0.500], [0.150, 0.150, 0.661], [0.150, 0.661, 0.150], [0.206, 0.500, 0.794], [0.206, 0.794, 0.500], [0.339, 0.850, 0.850], [0.401, 0.401, 0.401], [0.500, 0.000, 0.500], [0.500, 0.206, 0.794], [0.500, 0.500, 0.000], [0.500, 0.794, 0.206], [0.599, 0.599, 0.599], [0.661, 0.150, 0.150], [0.794, 0.206, 0.500], [0.794, 0.500, 0.206], [0.850, 0.339, 0.850], [0.850, 0.850, 0.339]]
}



17.
{
  "formula": "Ge7H8N2O15",
  "functional": "r2SCAN",
  "state": "relaxed",
  "final_energy_ev_per_fu": -276.9,
  "cell": [[6.528, -3.638, 0.000], [6.528, 3.638, 0.000], [-3.499, 0.000, 14.783]],
  "species": ["Ge", "Ge", "Ge", "Ge", "Ge", "Ge", "Ge", "Ge", "Ge", "Ge", "Ge", "Ge", "Ge", "Ge", "H", "H", "H", "H", "H", "H", "H", "H", "H", "H", "H", "H", "H", "H", "H", "H", "N", "N", "N", "N", "O", "O", "O", "O", "O", "O", "O", "O", "O", "O", "O", "O", "O", "O", "O", "O", "O", "O", "O", "O", "O", "O", "O", "O", "O", "O", "O", "O", "O", "O"],
  "fractional_positions": [[0.000, 0.500, 0.500], [0.060, 0.850, 0.647], [0.133, 0.234, 0.123], [0.150, 0.940, 0.853], [0.234, 0.133, 0.623], [0.237, 0.284, 0.836], [0.284, 0.237, 0.336], [0.500, 0.000, 0.000], [0.716, 0.763, 0.664], [0.763, 0.716, 0.164], [0.766, 0.867, 0.377], [0.850, 0.060, 0.147], [0.867, 0.766, 0.877], [0.940, 0.150, 0.353], [0.217, 0.634, 0.116], [0.250, 0.576, 0.007], [0.311, 0.624, 0.421], [0.366, 0.783, 0.384], [0.376, 0.689, 0.079], [0.424, 0.750, 0.493], [0.427, 0.449, 0.581], [0.449, 0.427, 0.081], [0.551, 0.573, 0.919], [0.573, 0.551, 0.419], [0.576, 0.250, 0.507], [0.624, 0.311, 0.921], [0.634, 0.217, 0.616], [0.689, 0.376, 0.579], [0.750, 0.424, 0.993], [0.783, 0.366, 0.884], [0.326, 0.581, 0.072], [0.419, 0.674, 0.428], [0.581, 0.326, 0.572], [0.674, 0.419, 0.928], [0.027, 0.082, 0.617], [0.051, 0.205, 0.832], [0.082, 0.027, 0.117], [0.130, 0.475, 0.399], [0.134, 0.549, 0.885], [0.157, 0.629, 0.569], [0.205, 0.051, 0.332], [0.222, 0.778, 0.750], [0.227, 0.237, 0.530], [0.237, 0.227, 0.030], [0.266, 0.286, 0.225], [0.286, 0.266, 0.725], [0.371, 0.843, 0.931], [0.451, 0.866, 0.615], [0.475, 0.130, 0.899], [0.525, 0.870, 0.101], [0.549, 0.134, 0.385], [0.629, 0.157, 0.069], [0.714, 0.734, 0.275], [0.734, 0.714, 0.775], [0.763, 0.773, 0.970], [0.773, 0.763, 0.470], [0.778, 0.222, 0.250], [0.795, 0.949, 0.668], [0.843, 0.371, 0.431], [0.866, 0.451, 0.115], [0.870, 0.525, 0.601], [0.918, 0.973, 0.883], [0.949, 0.795, 0.168], [0.973, 0.918, 0.383]]
}



18.
{
  "formula": "Hf5Ge4",
  "functional": "r2SCAN",
  "state": "relaxed",
  "final_energy_ev_per_fu": -288.2,
  "cell": [[7.014, 0.000, 0.000], [0.000, 13.385, 0.000], [0.000, 0.000, 7.093]],
  "species": ["Hf", "Hf", "Hf", "Hf", "Hf", "Hf", "Hf", "Hf", "Hf", "Hf", "Hf", "Hf", "Hf", "Hf", "Hf", "Hf", "Hf", "Hf", "Hf", "Hf", "Ge", "Ge", "Ge", "Ge", "Ge", "Ge", "Ge", "Ge", "Ge", "Ge", "Ge", "Ge", "Ge", "Ge", "Ge", "Ge"],
  "fractional_positions": [[0.016, 0.095, 0.177], [0.016, 0.405, 0.177], [0.145, 0.624, 0.334], [0.145, 0.876, 0.334], [0.183, 0.250, 0.497], [0.317, 0.750, 0.997], [0.355, 0.124, 0.834], [0.355, 0.376, 0.834], [0.484, 0.595, 0.677], [0.484, 0.905, 0.677], [0.516, 0.095, 0.323], [0.516, 0.405, 0.323], [0.645, 0.624, 0.166], [0.645, 0.876, 0.166], [0.683, 0.250, 0.003], [0.817, 0.750, 0.503], [0.855, 0.124, 0.666], [0.855, 0.376, 0.666], [0.984, 0.595, 0.823], [0.984, 0.905, 0.823], [0.054, 0.250, 0.887], [0.178, 0.750, 0.646], [0.199, 0.041, 0.535], [0.199, 0.459, 0.535], [0.301, 0.541, 0.035], [0.301, 0.959, 0.035], [0.322, 0.250, 0.146], [0.446, 0.750, 0.387], [0.554, 0.250, 0.613], [0.678, 0.750, 0.854], [0.699, 0.041, 0.965], [0.699, 0.459, 0.965], [0.801, 0.541, 0.465], [0.801, 0.959, 0.465], [0.822, 0.250, 0.354], [0.946, 0.750, 0.113]]
}



19.
{
  "formula": "Hf2Ge",
  "functional": "r2SCAN",
  "state": "relaxed",
  "final_energy_ev_per_fu": -106.3,
  "cell": [[-3.290, 3.290, 2.646], [3.290, -3.290, 2.646], [3.290, 3.290, -2.646]],
  "species": ["Hf", "Hf", "Hf", "Hf", "Ge", "Ge"],
  "fractional_positions": [[0.156, 0.656, 0.812], [0.344, 0.156, 0.500], [0.656, 0.844, 0.500], [0.844, 0.344, 0.188], [0.250, 0.250, 0.000], [0.750, 0.750, 0.000]]
}



20.
{
  "formula": "HfMn6Ge6",
  "functional": "r2SCAN",
  "state": "relaxed",
  "final_energy_ev_per_fu": -220.6,
  "cell": [[5.091, 0.000, 0.000], [-2.546, 4.409, 0.000], [0.000, 0.000, 8.138]],
  "species": ["Hf", "Mn", "Mn", "Mn", "Mn", "Mn", "Mn", "Ge", "Ge", "Ge", "Ge", "Ge", "Ge"],
  "fractional_positions": [[0.000, 0.000, 0.000], [0.000, 0.500, 0.250], [0.000, 0.500, 0.750], [0.500, 0.000, 0.250], [0.500, 0.000, 0.750], [0.500, 0.500, 0.250], [0.500, 0.500, 0.750], [0.000, 0.000, 0.337], [0.000, 0.000, 0.663], [0.333, 0.667, 0.000], [0.333, 0.667, 0.500], [0.667, 0.333, 0.000], [0.667, 0.333, 0.500]]
}